Entry from the Materials Project: crystalline Zn3P2O8 at its relaxed geometry (GGA-PBE).

Values from the calculation:
calculated density = 3826 kg/m³
calculated formation energy = -2355 meV per atom
final energy = -158.61 eV/cell

Unit cell a=5.0801 b=8.5976 c=8.7895 alpha=90.00 beta=119.17 gamma=90.00
Closest atoms and distances in Å follow each position.
Space group P2_1/c (No. 14)
Inequivalent atoms, fractional coordinates:
Zn 0.0000 0.0000 0.0000 (multiplicity 2)  2 O 1.99
Zn 0.0457 0.1385 0.6185 (multiplicity 4)  4 O 1.96-2.04
P 0.3312 0.6898 0.3009 (multiplicity 4)  4 O 1.54-1.57
O 0.1782 0.6462 0.7462 (multiplicity 4)  1 P 1.57
O 0.1929 0.5796 0.1390 (multiplicity 4)  1 P 1.56
O 0.2680 0.6290 0.4447 (multiplicity 4)  1 P 1.54
O 0.3234 0.1976 0.1296 (multiplicity 4)  1 P 1.55